1.
DFT (PBE+U) results for Li8Mn5Fe3B8O24 after structural relaxation.

Lattice parameters (Å, degrees): 5.243 6.028 16.186 81.79 88.78 89.20
Element x y z (fractional)
1 Li 0.846 0.065 0.389
2 Li 0.152 0.436 0.109
3 Li 0.652 0.188 0.860
4 Li 0.351 0.312 0.640
5 Li 0.651 0.689 0.359
6 Li 0.348 0.813 0.140
7 Li 0.847 0.564 0.890
8 Li 0.151 0.935 0.611
9 Mn 0.167 0.023 0.790
10 Mn 0.331 0.224 0.461
11 Mn 0.167 0.525 0.291
12 Mn 0.669 0.773 0.541
13 Mn 0.332 0.724 0.960
14 Fe 0.667 0.272 0.043
15 Fe 0.838 0.473 0.711
16 Fe 0.838 0.973 0.209
17 B 0.327 0.037 0.296
18 B 0.829 0.284 0.549
19 B 0.670 0.463 0.202
20 B 0.172 0.216 0.953
21 B 0.828 0.787 0.048
22 B 0.327 0.536 0.796
23 B 0.171 0.717 0.452
24 B 0.673 0.964 0.703
25 O 0.586 0.012 0.308
26 O 0.180 0.170 0.344
27 O 0.714 0.168 0.491
28 O 0.297 0.332 0.009
29 O 0.787 0.083 0.760
30 O 0.818 0.327 0.155
31 O 0.319 0.080 0.906
32 O 0.087 0.261 0.564
33 O 0.411 0.487 0.188
34 O 0.912 0.241 0.941
35 O 0.679 0.420 0.595
36 O 0.207 0.422 0.738
37 O 0.787 0.579 0.259
38 O 0.322 0.580 0.407
39 O 0.086 0.763 0.063
40 O 0.586 0.511 0.809
41 O 0.913 0.740 0.437
42 O 0.678 0.921 0.095
43 O 0.180 0.669 0.843
44 O 0.204 0.923 0.239
45 O 0.714 0.673 0.990
46 O 0.287 0.833 0.509
47 O 0.823 0.827 0.658
48 O 0.414 0.987 0.688

Summary:
* calculated volume: 506 Å³ per cell
* space-group type: P1
* energy relative to the elements: -2439 meV per atom
* total moment: 37.00 μB/cell
* polymorph energy (0 for the lowest one): 0.002 eV/atom
* ρ: 3176 kg/m³
* calculated total energy: -7.17 eV/atom

2.
DFT (PBE+U) results for MgVO3 after structural relaxation.

Lattice parameters (Å, degrees): 5.816 5.816 5.342 90.00 90.00 126.79
Element x y z (fractional)
1 Mg 0.174 0.826 0.000
2 Mg 0.826 0.174 0.000
3 V 0.675 0.325 0.500
4 V 0.325 0.675 0.500
5 O 0.000 0.500 0.271
6 O 0.500 0.000 0.729
7 O 0.500 0.500 0.500
8 O 0.500 0.000 0.271
9 O 0.000 0.500 0.729
10 O 0.000 0.000 0.000

Summary:
* calculated volume: 145 Å³ per cell
* space-group type: Cmmm
* energy relative to the elements: -2513 meV per atom
* total moment: 2.00 μB/cell
* ρ: 2828 kg/m³
* calculated total energy: -6.87 eV/atom

3.
DFT (PBE+U) results for La2MnSe2O2 after structural relaxation.

Lattice parameters (Å, degrees): 8.571 8.571 17.751 89.99 89.99 152.75
Element x y z (fractional)
1 La 0.424 0.576 0.914
2 La 0.577 0.423 0.084
3 La 0.423 0.577 0.584
4 La 0.576 0.424 0.414
5 La 0.731 0.272 0.910
6 La 0.269 0.733 0.088
7 La 0.733 0.269 0.588
8 La 0.272 0.731 0.410
9 Mn 0.082 0.913 0.725
10 Mn 0.913 0.082 0.225
11 Mn 0.886 0.164 0.750
12 Mn 0.164 0.886 0.250
13 Se 0.488 0.508 0.750
14 Se 0.508 0.488 0.250
15 Se 0.079 0.923 0.933
16 Se 0.921 0.080 0.073
17 Se 0.080 0.921 0.573
18 Se 0.923 0.079 0.433
19 Se 0.245 0.770 0.750
20 Se 0.770 0.245 0.250
21 O 0.291 0.712 0.544
22 O 0.711 0.292 0.455
23 O 0.292 0.711 0.955
24 O 0.712 0.291 0.044
25 O 0.871 0.132 0.865
26 O 0.133 0.870 0.135
27 O 0.870 0.133 0.635
28 O 0.132 0.871 0.365

Summary:
* calculated volume: 597 Å³ per cell
* space-group type: Cc
* energy relative to the elements: -2597 meV per atom
* total moment: 20.00 μB/cell
* polymorph energy (0 for the lowest one): 0.003 eV/atom
* ρ: 5816 kg/m³
* calculated total energy: -7.29 eV/atom

4.
DFT (PBE+U) results for Li2MnP2O7 after structural relaxation.

Lattice parameters (Å, degrees): 5.453 5.453 11.784 77.95 77.95 56.08
Element x y z (fractional)
1 Li 0.101 0.631 0.638
2 Li 0.369 0.899 0.862
3 Li 0.631 0.101 0.138
4 Li 0.899 0.369 0.362
5 Mn 0.500 0.000 0.500
6 Mn 0.000 0.500 0.000
7 P 0.265 0.666 0.374
8 P 0.334 0.735 0.126
9 P 0.666 0.265 0.874
10 P 0.735 0.334 0.626
11 O 0.501 0.273 0.611
12 O 0.660 0.592 0.145
13 O 0.221 0.004 0.034
14 O 0.131 0.869 0.250
15 O 0.727 0.499 0.889
16 O 0.996 0.779 0.466
17 O 0.408 0.340 0.355
18 O 0.592 0.660 0.645
19 O 0.004 0.221 0.534
20 O 0.273 0.501 0.111
21 O 0.869 0.131 0.750
22 O 0.779 0.996 0.966
23 O 0.340 0.408 0.855
24 O 0.499 0.727 0.389

Summary:
* calculated volume: 283 Å³ per cell
* space-group type: C2/c
* energy relative to the elements: -2577 meV per atom
* total moment: 10.00 μB/cell
* polymorph energy (0 for the lowest one): 0.095 eV/atom
* ρ: 2854 kg/m³
* calculated total energy: -6.91 eV/atom

5.
DFT (PBE+U) results for Al2Mo2O7 after structural relaxation.

Lattice parameters (Å, degrees): 6.682 6.751 6.767 66.11 65.97 65.33
Element x y z (fractional)
1 Al 0.500 0.000 0.500
2 Al 0.500 0.000 0.000
3 Al 0.000 0.000 0.500
4 Al 0.500 0.500 0.500
5 Mo 0.000 0.500 0.000
6 Mo 0.000 0.500 0.500
7 Mo 0.500 0.500 0.000
8 Mo 0.000 0.000 0.000
9 O 0.611 0.153 0.607
10 O 0.389 0.847 0.393
11 O 0.883 0.844 0.405
12 O 0.680 0.684 0.988
13 O 0.991 0.837 0.821
14 O 0.346 0.883 0.896
15 O 0.829 0.506 0.318
16 O 0.356 0.478 0.320
17 O 0.320 0.316 0.012
18 O 0.171 0.494 0.682
19 O 0.654 0.117 0.104
20 O 0.117 0.156 0.595
21 O 0.644 0.522 0.680
22 O 0.009 0.163 0.179

Summary:
* calculated volume: 243 Å³ per cell
* space-group type: P-1
* energy relative to the elements: -2214 meV per atom
* total moment: 8.00 μB/cell
* polymorph energy (0 for the lowest one): 0.112 eV/atom
* ρ: 4891 kg/m³
* calculated total energy: -7.00 eV/atom

6.
DFT (PBE+U) results for LiCoBO3 after structural relaxation.

Lattice parameters (Å, degrees): 5.237 6.763 8.424 90.00 90.00 65.97
Element x y z (fractional)
1 Li 0.729 0.101 0.053
2 Li 0.771 0.399 0.553
3 Li 0.229 0.601 0.447
4 Li 0.271 0.899 0.947
5 Co 0.385 0.223 0.718
6 Co 0.615 0.777 0.282
7 Co 0.115 0.277 0.218
8 Co 0.885 0.723 0.782
9 B 0.623 0.198 0.374
10 B 0.877 0.302 0.874
11 B 0.123 0.698 0.126
12 B 0.377 0.802 0.626
13 O 0.054 0.204 0.000
14 O 0.445 0.296 0.500
15 O 0.555 0.704 0.500
16 O 0.946 0.796 0.000
17 O 0.530 0.098 0.252
18 O 0.030 0.598 0.248
19 O 0.970 0.402 0.752
20 O 0.470 0.902 0.748
21 O 0.872 0.216 0.365
22 O 0.627 0.284 0.865
23 O 0.373 0.716 0.135
24 O 0.128 0.784 0.635

Summary:
* calculated volume: 273 Å³ per cell
* space-group type: P2_1/c
* energy relative to the elements: -2209 meV per atom
* total moment: 0.00 μB/cell
* polymorph energy (0 for the lowest one): 0.050 eV/atom
* ρ: 3039 kg/m³
* calculated total energy: -6.68 eV/atom

7.
DFT (PBE+U) results for BaLaMn2O6 after structural relaxation.

Lattice parameters (Å, degrees): 5.498 5.498 8.162 90.01 90.01 89.97
Element x y z (fractional)
1 Ba 0.500 0.000 0.750
2 Ba 0.000 0.500 0.250
3 La 0.500 0.000 0.250
4 La 0.000 0.500 0.750
5 Mn 0.500 0.500 0.500
6 Mn 0.500 0.500 0.000
7 Mn 0.000 0.000 0.000
8 Mn 0.000 0.000 0.500
9 O 0.750 0.750 0.000
10 O 0.250 0.250 0.500
11 O 0.250 0.250 0.000
12 O 0.750 0.750 0.500
13 O 0.500 0.500 0.750
14 O 0.000 0.000 0.250
15 O 0.500 0.500 0.250
16 O 0.000 0.000 0.750
17 O 0.750 0.250 0.000
18 O 0.250 0.750 0.500
19 O 0.250 0.750 0.000
20 O 0.750 0.250 0.500

Summary:
* calculated volume: 247 Å³ per cell
* energy relative to the elements: -2674 meV per atom
* total moment: 14.00 μB/cell
* polymorph energy (0 for the lowest one): 0.057 eV/atom
* ρ: 6490 kg/m³
* calculated total energy: -7.41 eV/atom

8.
DFT (PBE+U) results for Na2Ni2O3 after structural relaxation.

Lattice parameters (Å, degrees): 5.769 6.061 5.824 62.45 90.00 90.00
Element x y z (fractional)
1 Na 0.658 0.899 0.239
2 Na 0.842 0.399 0.739
3 Na 0.158 0.601 0.261
4 Na 0.342 0.101 0.761
5 Ni 0.868 0.921 0.737
6 Ni 0.632 0.421 0.237
7 Ni 0.368 0.579 0.763
8 Ni 0.132 0.079 0.263
9 O 0.500 0.500 0.500
10 O 0.000 0.000 0.000
11 O 0.081 0.757 0.594
12 O 0.419 0.257 0.094
13 O 0.581 0.743 0.906
14 O 0.919 0.243 0.406

Summary:
* calculated volume: 181 Å³ per cell
* space-group type: P2_1/c
* energy relative to the elements: -1260 meV per atom
* total moment: 0.00 μB/cell
* ρ: 3888 kg/m³
* calculated total energy: -4.39 eV/atom

9.
DFT (PBE+U) results for K2ZrFeP3O12 after structural relaxation.

Lattice parameters (Å, degrees): 10.225 10.231 20.432 89.95 90.00 90.00
Element x y z (fractional)
1 K 0.937 0.308 0.713
2 K 0.937 0.312 0.219
3 K 0.801 0.960 0.349
4 K 0.800 0.950 0.849
5 K 0.704 0.557 0.606
6 K 0.699 0.551 0.099
7 K 0.576 0.168 0.467
8 K 0.563 0.187 0.969
9 K 0.437 0.692 0.287
10 K 0.437 0.688 0.781
11 K 0.301 0.040 0.651
12 K 0.300 0.050 0.151
13 K 0.204 0.443 0.394
14 K 0.199 0.449 0.901
15 K 0.076 0.832 0.533
16 K 0.063 0.813 0.031
17 Zr 0.914 0.164 0.043
18 Zr 0.856 0.609 0.429
19 Zr 0.585 0.333 0.294
20 Zr 0.588 0.335 0.793
21 Zr 0.414 0.836 0.957
22 Zr 0.356 0.391 0.571
23 Zr 0.085 0.667 0.706
24 Zr 0.088 0.665 0.207
25 Fe 0.915 0.159 0.542
26 Fe 0.855 0.605 0.928
27 Fe 0.646 0.897 0.677
28 Fe 0.643 0.896 0.178
29 Fe 0.415 0.841 0.458
30 Fe 0.355 0.395 0.072
31 Fe 0.146 0.103 0.323
32 Fe 0.143 0.104 0.822
33 P 0.957 0.985 0.687
34 P 0.956 0.981 0.190
35 P 0.879 0.285 0.388
36 P 0.880 0.293 0.884
37 P 0.768 0.627 0.268
38 P 0.768 0.631 0.772
39 P 0.725 0.880 0.522
40 P 0.732 0.871 0.021
41 P 0.632 0.205 0.633
42 P 0.620 0.207 0.135
43 P 0.536 0.529 0.436
44 P 0.544 0.518 0.939
45 P 0.456 0.019 0.810
46 P 0.457 0.015 0.313
47 P 0.379 0.715 0.612
48 P 0.380 0.707 0.116
49 P 0.268 0.369 0.228
50 P 0.268 0.373 0.732
51 P 0.225 0.120 0.478
52 P 0.232 0.129 0.979
53 P 0.132 0.795 0.367
54 P 0.120 0.793 0.865
55 P 0.036 0.471 0.564
56 P 0.044 0.482 0.061
57 O 0.996 0.330 0.575
58 O 0.996 0.340 0.074
59 O 0.979 0.201 0.351
60 O 0.981 0.205 0.851
61 O 0.978 0.060 0.622
62 O 0.977 0.057 0.125
63 O 0.949 0.543 0.513
64 O 0.957 0.549 0.009
65 O 0.921 0.432 0.385
66 O 0.922 0.438 0.883
67 O 0.911 0.606 0.749
68 O 0.912 0.601 0.248
69 O 0.854 0.243 0.459
70 O 0.853 0.248 0.955
71 O 0.813 0.986 0.710
72 O 0.811 0.983 0.211
73 O 0.804 0.007 0.511
74 O 0.808 0.001 0.011
75 O 0.794 0.774 0.479
76 O 0.799 0.768 0.979
77 O 0.765 0.671 0.341
78 O 0.765 0.672 0.844
79 O 0.758 0.229 0.595
80 O 0.750 0.227 0.096
81 O 0.746 0.271 0.350
82 O 0.749 0.272 0.846
83 O 0.731 0.831 0.594
84 O 0.733 0.830 0.094
85 O 0.700 0.732 0.728
86 O 0.701 0.728 0.224
87 O 0.694 0.495 0.260
88 O 0.693 0.500 0.761
89 O 0.680 0.518 0.460
90 O 0.688 0.517 0.961
91 O 0.652 0.254 0.705
92 O 0.648 0.251 0.206
93 O 0.584 0.902 0.498
94 O 0.590 0.898 0.998
95 O 0.582 0.063 0.633
96 O 0.577 0.062 0.134
97 O 0.545 0.949 0.262
98 O 0.543 0.952 0.759
99 O 0.518 0.451 0.372
100 O 0.524 0.441 0.874
101 O 0.524 0.292 0.601
102 O 0.518 0.294 0.102
103 O 0.503 0.159 0.325
104 O 0.503 0.161 0.823
105 O 0.496 0.670 0.425
106 O 0.496 0.660 0.926
107 O 0.479 0.799 0.649
108 O 0.481 0.795 0.149
109 O 0.477 0.943 0.875
110 O 0.478 0.940 0.378
111 O 0.449 0.457 0.487
112 O 0.457 0.451 0.991
113 O 0.421 0.568 0.615
114 O 0.422 0.562 0.117
115 O 0.411 0.394 0.251
116 O 0.412 0.399 0.752
117 O 0.354 0.757 0.541
118 O 0.353 0.752 0.045
119 O 0.313 0.014 0.290
120 O 0.311 0.017 0.789
121 O 0.304 0.993 0.489
122 O 0.308 0.999 0.989
123 O 0.294 0.226 0.521
124 O 0.299 0.232 0.021
125 O 0.265 0.329 0.659
126 O 0.265 0.328 0.156
127 O 0.258 0.771 0.405
128 O 0.250 0.773 0.904
129 O 0.246 0.729 0.650
130 O 0.249 0.728 0.154
131 O 0.231 0.169 0.406
132 O 0.233 0.170 0.906
133 O 0.200 0.268 0.272
134 O 0.201 0.272 0.776
135 O 0.194 0.505 0.740
136 O 0.193 0.500 0.239
137 O 0.180 0.482 0.540
138 O 0.188 0.483 0.039
139 O 0.152 0.746 0.295
140 O 0.148 0.749 0.794
141 O 0.084 0.098 0.502
142 O 0.090 0.102 0.002
143 O 0.082 0.937 0.367
144 O 0.077 0.938 0.866
145 O 0.045 0.051 0.738
146 O 0.043 0.048 0.241
147 O 0.018 0.549 0.628
148 O 0.024 0.559 0.126
149 O 0.024 0.708 0.399
150 O 0.018 0.706 0.898
151 O 0.003 0.841 0.675
152 O 0.003 0.839 0.177

Summary:
* calculated volume: 2137 Å³ per cell
* space-group type: P2_1
* energy relative to the elements: -2823 meV per atom
* total moment: 40.00 μB/cell
* polymorph energy (0 for the lowest one): 0.002 eV/atom
* ρ: 3171 kg/m³
* calculated total energy: -7.26 eV/atom

10.
DFT (PBE+U) results for KNdMn4O12 after structural relaxation.

Lattice parameters (Å, degrees): 5.389 5.389 7.656 90.00 90.00 89.42
Element x y z (fractional)
1 K 0.006 0.006 0.000
2 Nd 0.491 0.491 0.500
3 Mn 0.500 0.999 0.757
4 Mn 0.500 0.999 0.243
5 Mn 0.999 0.500 0.243
6 Mn 0.999 0.500 0.757
7 O 0.758 0.242 0.731
8 O 0.242 0.758 0.731
9 O 0.242 0.758 0.269
10 O 0.758 0.242 0.269
11 O 0.724 0.724 0.722
12 O 0.281 0.281 0.757
13 O 0.281 0.281 0.243
14 O 0.724 0.724 0.278
15 O 0.517 0.975 0.000
16 O 0.481 0.023 0.500
17 O 0.975 0.517 0.000
18 O 0.023 0.481 0.500

Summary:
* calculated volume: 222 Å³ per cell
* space-group type: Amm2
* energy relative to the elements: -1637 meV per atom
* total moment: 12.49 μB/cell
* ρ: 4444 kg/m³
* calculated total energy: -6.47 eV/atom